No. 1
Material: Tb3Pt
Method: DFT, r2SCAN
State: relaxed

a = 7.052 Å, b = 9.716 Å, c = 6.489 Å
α = 90.00°, β = 90.00°, γ = 90.00°
Atoms (fractional coordinates):
Tb  0.029  0.250  0.137
Tb  0.175  0.063  0.680
Tb  0.175  0.437  0.680
Tb  0.325  0.563  0.180
Tb  0.325  0.937  0.180
Tb  0.471  0.750  0.637
Tb  0.529  0.250  0.363
Tb  0.675  0.063  0.820
Tb  0.675  0.437  0.820
Tb  0.825  0.563  0.320
Tb  0.825  0.937  0.320
Tb  0.971  0.750  0.863
Pt  0.116  0.750  0.446
Pt  0.384  0.250  0.946
Pt  0.616  0.750  0.054
Pt  0.884  0.250  0.554

No. 2
Material: BaGdCl5
Method: DFT, r2SCAN
State: relaxed

a = 10.070 Å, b = 10.070 Å, c = 6.873 Å
α = 90.84°, β = 90.84°, γ = 148.05°
Atoms (fractional coordinates):
Ba  0.172  0.828  0.750
Ba  0.828  0.172  0.250
Gd  0.423  0.577  0.750
Gd  0.577  0.423  0.250
Cl  0.127  0.873  0.250
Cl  0.225  0.289  0.403
Cl  0.289  0.225  0.903
Cl  0.304  0.681  0.002
Cl  0.319  0.696  0.498
Cl  0.681  0.304  0.502
Cl  0.696  0.319  0.998
Cl  0.711  0.775  0.097
Cl  0.775  0.711  0.597
Cl  0.873  0.127  0.750

No. 3
Material: SmAlGe
Method: DFT, r2SCAN
State: relaxed

a = 7.885 Å, b = 7.885 Å, c = 7.885 Å
α = 149.00°, β = 149.00°, γ = 44.42°
Atoms (fractional coordinates):
Sm  0.000  0.000  0.000
Sm  0.750  0.250  0.500
Al  0.166  0.666  0.500
Al  0.416  0.416  0.000
Ge  0.331  0.831  0.500
Ge  0.581  0.581  0.000

No. 4
Material: Ho4Ni13C4
Method: DFT, r2SCAN
State: relaxed

a = 8.305 Å, b = 8.305 Å, c = 3.818 Å
α = 90.00°, β = 90.00°, γ = 91.26°
Atoms (fractional coordinates):
Ho  0.187  0.813  0.000
Ho  0.348  0.348  0.000
Ho  0.652  0.652  0.000
Ho  0.813  0.187  0.000
Ni  0.000  0.000  0.500
Ni  0.000  0.500  0.000
Ni  0.075  0.290  0.500
Ni  0.123  0.123  0.000
Ni  0.215  0.570  0.500
Ni  0.290  0.075  0.500
Ni  0.430  0.785  0.500
Ni  0.500  0.000  0.000
Ni  0.570  0.215  0.500
Ni  0.710  0.925  0.500
Ni  0.785  0.430  0.500
Ni  0.877  0.877  0.000
Ni  0.925  0.710  0.500
C  0.000  0.500  0.500
C  0.443  0.557  0.500
C  0.500  0.000  0.500
C  0.557  0.443  0.500

No. 5
Material: Li4Ni5O9
Method: DFT, r2SCAN
State: relaxed

a = 6.402 Å, b = 7.579 Å, c = 7.592 Å
α = 65.07°, β = 85.38°, γ = 65.18°
Atoms (fractional coordinates):
Li  0.000  0.000  0.000
Li  0.097  0.571  0.101
Li  0.223  0.102  0.226
Li  0.326  0.672  0.328
Li  0.555  0.773  0.554
Li  0.659  0.345  0.658
Li  0.784  0.877  0.781
Li  0.881  0.448  0.882
Ni  0.108  0.053  0.614
Ni  0.221  0.614  0.717
Ni  0.332  0.167  0.833
Ni  0.441  0.223  0.442
Ni  0.441  0.723  0.942
Ni  0.550  0.280  0.050
Ni  0.662  0.833  0.166
Ni  0.774  0.394  0.269
Ni  0.887  0.944  0.385
Ni  0.996  0.503  0.498
O  0.024  0.236  0.744
O  0.114  0.819  0.844
O  0.119  0.282  0.382
O  0.205  0.863  0.492
O  0.239  0.364  0.948
O  0.331  0.415  0.572
O  0.353  0.908  0.088
O  0.440  0.985  0.704
O  0.442  0.461  0.180
O  0.530  0.539  0.796
O  0.551  0.032  0.311
O  0.643  0.083  0.936
O  0.677  0.584  0.392
O  0.763  0.164  0.502
O  0.768  0.628  0.040
O  0.858  0.211  0.139
O  0.912  0.687  0.639
O  0.970  0.760  0.244

No. 6
Material: TaRh3
Method: DFT, r2SCAN
State: relaxed

a = 3.870 Å, b = 3.870 Å, c = 3.870 Å
α = 90.00°, β = 90.00°, γ = 90.00°
Atoms (fractional coordinates):
Ta  0.000  0.000  0.000
Rh  0.000  0.500  0.500
Rh  0.500  0.000  0.500
Rh  0.500  0.500  0.000

Number 1: ΔH_f (0 K) -3.1 eV per formula unit, total DFT energy (no corrections) -37.08 eV per atom. Number 2: ΔH_f (0 K) -18.6 eV per formula unit, total DFT energy (no corrections) -17.03 eV per atom. Number 3: ΔH_f (0 K) -2.3 eV per formula unit, total DFT energy (no corrections) -17.54 eV per atom. Number 4: ΔH_f (0 K) -7.5 eV per formula unit, total DFT energy (no corrections) -15.93 eV per atom. Number 5: ΔH_f (0 K) -27.5 eV per formula unit, total DFT energy (no corrections) -8.37 eV per atom. Number 6: ΔH_f (0 K) -2.6 eV per formula unit, total DFT energy (no corrections) -30.89 eV per atom.